No. 1
BaSrNbSbO6 (GGA-PBE, relaxed); E = -7.151 eV per atom; formation energy from the elements = -2.81 eV/atom; distance to the lowest polymorph of the same formula = 3.3 kJ/mol of atoms; SG = P-1, No. 2
1.0
-5.897 0.394 1.076
-1.155 -2.995 -5.058
0.262 -7.300 4.318
Ba Sr Nb Sb O
2 2 2 2 12
direct
0.996 0.020 0.250 Ba
0.004 0.980 0.750 Ba
0.503 0.526 0.251 Sr
0.497 0.474 0.749 Sr
0.000 0.500 0.000 Nb
0.500 0.000 0.500 Nb
0.500 0.000 0.000 Sb
0.000 0.500 0.500 Sb
0.204 0.235 0.965 O
0.305 0.728 0.537 O
0.796 0.765 0.035 O
0.695 0.272 0.463 O
0.267 0.700 0.960 O
0.238 0.207 0.531 O
0.733 0.300 0.040 O
0.762 0.793 0.469 O
0.442 0.976 0.266 O
0.078 0.495 0.233 O
0.558 0.024 0.734 O
0.922 0.505 0.767 O



No. 2
SrYMg14O16 (GGA-PBE, relaxed); E = -6.004 eV per atom; formation energy from the elements = -2.92 eV/atom; distance to the lowest polymorph of the same formula = 0.0 kJ/mol of atoms; SG = P4/mmm, No. 123
1.0
-0.914 -4.475 7.550
8.361 -2.753 -0.620
1.356 3.601 2.298
Sr Y Mg O
1 1 14 16
direct
0.500 0.500 0.000 Sr
0.000 0.000 0.000 Y
0.500 0.000 0.000 Mg
0.000 0.500 0.000 Mg
0.262 0.000 0.500 Mg
0.738 0.000 0.500 Mg
0.242 0.500 0.500 Mg
0.758 0.500 0.500 Mg
0.000 0.262 0.500 Mg
0.500 0.242 0.500 Mg
0.000 0.738 0.500 Mg
0.500 0.758 0.500 Mg
0.252 0.252 0.000 Mg
0.748 0.252 0.000 Mg
0.252 0.748 0.000 Mg
0.748 0.748 0.000 Mg
0.000 0.255 0.000 O
0.500 0.229 0.000 O
0.000 0.745 0.000 O
0.500 0.771 0.000 O
0.250 0.250 0.500 O
0.750 0.250 0.500 O
0.250 0.750 0.500 O
0.750 0.750 0.500 O
0.000 0.000 0.500 O
0.500 0.000 0.500 O
0.000 0.500 0.500 O
0.500 0.500 0.500 O
0.255 0.000 0.000 O
0.745 0.000 0.000 O
0.229 0.500 0.000 O
0.771 0.500 0.000 O